Na3ReN3 after structural relaxation, computed with GGA-PBE.

abc: 7.665 4.971 7.666
angles: 90.00 119.94 90.00
Positions (direct):
1 Na 0.159 0.250 0.331
2 Na 0.328 0.750 0.159
3 Na 0.331 0.750 0.671
4 Na 0.669 0.250 0.329
5 Na 0.672 0.250 0.841
6 Na 0.841 0.750 0.669
7 Re 0.167 0.250 0.833
8 Re 0.833 0.750 0.167
9 N 0.106 0.750 0.304
10 N 0.301 0.250 0.106
11 N 0.304 0.250 0.698
12 N 0.696 0.750 0.302
13 N 0.699 0.750 0.894
14 N 0.894 0.250 0.696

The space group is No. 11.

***

Na6ReN4 after structural relaxation, computed with GGA-PBE.

abc: 7.661 7.661 5.983
angles: 90.00 90.00 90.00
Positions (direct):
1 Na 0.043 0.543 0.250
2 Na 0.043 0.957 0.250
3 Na 0.250 0.250 0.056
4 Na 0.250 0.250 0.556
5 Na 0.457 0.543 0.250
6 Na 0.457 0.957 0.250
7 Na 0.543 0.043 0.750
8 Na 0.543 0.457 0.750
9 Na 0.750 0.750 0.444
10 Na 0.750 0.750 0.944
11 Na 0.957 0.043 0.750
12 Na 0.957 0.457 0.750
13 Re 0.250 0.750 0.750
14 Re 0.750 0.250 0.250
15 N 0.046 0.750 0.579
16 N 0.250 0.546 0.921
17 N 0.250 0.954 0.921
18 N 0.454 0.750 0.579
19 N 0.546 0.250 0.421
20 N 0.750 0.046 0.079
21 N 0.750 0.454 0.079
22 N 0.954 0.250 0.421

The space group is No. 137.

***

Na6SN4 after structural relaxation, computed with GGA-PBE.

abc: 7.143 7.143 5.841
angles: 90.00 90.00 90.00
Positions (direct):
1 Na 0.045 0.545 0.250
2 Na 0.045 0.955 0.250
3 Na 0.250 0.250 0.052
4 Na 0.250 0.250 0.552
5 Na 0.455 0.545 0.250
6 Na 0.455 0.955 0.250
7 Na 0.545 0.045 0.750
8 Na 0.545 0.455 0.750
9 Na 0.750 0.750 0.448
10 Na 0.750 0.750 0.948
11 Na 0.955 0.045 0.750
12 Na 0.955 0.455 0.750
13 S 0.250 0.750 0.750
14 S 0.750 0.250 0.250
15 N 0.059 0.750 0.591
16 N 0.250 0.559 0.909
17 N 0.250 0.941 0.909
18 N 0.441 0.750 0.591
19 N 0.559 0.250 0.409
20 N 0.750 0.059 0.091
21 N 0.750 0.441 0.091
22 N 0.941 0.250 0.409

The space group is No. 137.

***

Na3Si3N5 after structural relaxation, computed with GGA-PBE.

abc: 5.365 6.786 7.970
angles: 108.21 97.59 97.83
Positions (direct):
1 Na 0.147 0.334 0.397
2 Na 0.154 0.117 0.719
3 Na 0.333 0.931 0.119
4 Na 0.667 0.069 0.881
5 Na 0.846 0.883 0.281
6 Na 0.853 0.666 0.603
7 Si 0.192 0.457 0.085
8 Si 0.400 0.612 0.788
9 Si 0.419 0.819 0.479
10 Si 0.581 0.181 0.521
11 Si 0.600 0.388 0.212
12 Si 0.808 0.543 0.915
13 N 0.139 0.551 0.898
14 N 0.278 0.015 0.426
15 N 0.295 0.704 0.624
16 N 0.333 0.239 0.045
17 N 0.429 0.610 0.276
18 N 0.571 0.390 0.724
19 N 0.667 0.761 0.955
20 N 0.705 0.296 0.376
21 N 0.722 0.985 0.574
22 N 0.861 0.449 0.102

The space group is No. 2.

***

NaSrN after structural relaxation, computed with GGA-PBE.

abc: 9.051 4.267 6.218
angles: 90.00 90.00 90.00
Positions (direct):
1 Na 0.087 0.250 0.044
2 Na 0.413 0.750 0.544
3 Na 0.587 0.250 0.456
4 Na 0.913 0.750 0.956
5 Sr 0.147 0.250 0.527
6 Sr 0.353 0.750 0.027
7 Sr 0.647 0.250 0.973
8 Sr 0.853 0.750 0.473
9 N 0.118 0.750 0.276
10 N 0.382 0.250 0.776
11 N 0.618 0.750 0.224
12 N 0.882 0.250 0.724

The space group is No. 62.

***

NaSrN after structural relaxation, computed with GGA-PBE.

abc: 3.992 3.992 10.231
angles: 90.00 90.00 120.00
Positions (direct):
1 Na 0.333 0.667 0.000
2 Na 0.667 0.333 0.500
3 Sr 0.000 0.000 0.291
4 Sr 0.000 0.000 0.791
5 N 0.333 0.667 0.388
6 N 0.667 0.333 0.888

The space group is No. 186.

***

Na3TaN2 after structural relaxation, computed with GGA-PBE.

abc: 10.008 10.008 10.008
angles: 109.47 109.47 109.47
Positions (direct):
1 Na 0.033 0.569 0.794
2 Na 0.035 0.774 0.069
3 Na 0.069 0.035 0.774
4 Na 0.206 0.967 0.431
5 Na 0.226 0.931 0.965
6 Na 0.239 0.706 0.274
7 Na 0.261 0.535 0.467
8 Na 0.274 0.239 0.706
9 Na 0.294 0.726 0.761
10 Na 0.431 0.206 0.967
11 Na 0.465 0.533 0.739
12 Na 0.467 0.261 0.535
13 Na 0.533 0.739 0.465
14 Na 0.535 0.467 0.261
15 Na 0.569 0.794 0.033
16 Na 0.706 0.274 0.239
17 Na 0.726 0.761 0.294
18 Na 0.739 0.465 0.533
19 Na 0.761 0.294 0.726
20 Na 0.774 0.069 0.035
21 Na 0.794 0.033 0.569
22 Na 0.931 0.965 0.226
23 Na 0.965 0.226 0.931
24 Na 0.967 0.431 0.206
25 Ta 0.000 0.302 0.500
26 Ta 0.000 0.698 0.500
27 Ta 0.198 0.198 0.198
28 Ta 0.302 0.500 0.000
29 Ta 0.500 0.000 0.302
30 Ta 0.500 0.000 0.698
31 Ta 0.698 0.500 0.000
32 Ta 0.802 0.802 0.802
33 N 0.000 0.000 0.000
34 N 0.000 0.500 0.500
35 N 0.091 0.250 0.341
36 N 0.159 0.409 0.750
37 N 0.250 0.341 0.091
38 N 0.250 0.841 0.591
39 N 0.341 0.091 0.250
40 N 0.409 0.750 0.159
41 N 0.500 0.000 0.500
42 N 0.500 0.500 0.000
43 N 0.591 0.250 0.841
44 N 0.659 0.909 0.750
45 N 0.750 0.159 0.409
46 N 0.750 0.659 0.909
47 N 0.841 0.591 0.250
48 N 0.909 0.750 0.659

The space group is No. 206.

***

NaTa3N5 after structural relaxation, computed with GGA-PBE.

abc: 5.514 5.514 10.424
angles: 90.00 90.00 137.03
Positions (direct):
1 Na 0.004 0.996 0.750
2 Na 0.996 0.004 0.250
3 Ta 0.297 0.703 0.750
4 Ta 0.360 0.640 0.047
5 Ta 0.360 0.640 0.453
6 Ta 0.640 0.360 0.547
7 Ta 0.640 0.360 0.953
8 Ta 0.703 0.297 0.250
9 N 0.179 0.821 0.579
10 N 0.179 0.821 0.921
11 N 0.247 0.753 0.250
12 N 0.455 0.545 0.621
13 N 0.455 0.545 0.879
14 N 0.545 0.455 0.121
15 N 0.545 0.455 0.379
16 N 0.753 0.247 0.750
17 N 0.821 0.179 0.079
18 N 0.821 0.179 0.421

The space group is No. 63.

***

no.,energy (eV per atom),formation enthalpy at 0 K (eV per atom)
1,-5.979,-0.2161
2,-5.033,-0.2799
3,-4.050,-0.0525
4,-6.421,-0.9553
5,-3.960,-0.2979
6,-3.873,-0.2103
7,-5.535,-0.2393
8,-9.689,-1.1591